First-principles (r²SCAN) data for crystalline Li2VCl4 at its relaxed geometry, as listed in Materials Project.

As for the total energy: -225.6 eV per cell. The calculation puts the formation energy at -42.6 kcal/mol of atoms.

It has space group Imma (No. 74), with a = 7.261 Å, b = 7.375 Å, c = 10.366 Å, α = 90.00°, β = 90.00° and γ = 90.00°. The asymmetric unit holds Li at (0.000, 0.250, 0.139), Li at (0.250, 0.250, 0.750), V at (0.000, 0.000, 0.500), Cl at (0.000, 0.015, 0.739) and Cl at (0.235, 0.250, 0.501).

First-principles (r²SCAN) data for crystalline Gd6WO12 at its relaxed geometry, as listed in Materials Project.

As for the total energy: -1351.6 eV per cell. The calculation puts the formation energy at -81.5 kcal/mol of atoms.

It has space group R-3 (No. 148, hexagonal axes), with a = 9.9036 Å, b = 9.9036 Å, c = 9.4735 Å, α = 90.00°, β = 90.00° and γ = 120.00°. The asymmetric unit holds Gd at (0.0438, 0.2557, 0.1448), W at (0.0000, 0.0000, 0.5000), O at (0.0338, 0.2239, 0.9011) and O at (0.0381, 0.1811, 0.3891).

First-principles (r²SCAN) data for crystalline ZrAs at its relaxed geometry, as listed in Materials Project.

As for the total energy: -160.5 eV per cell. The calculation puts the formation energy at -30.8 kcal/mol of atoms.

It has space group P6_3/mmc (No. 194), with a = 3.8329 Å, b = 3.8329 Å, c = 12.8954 Å, α = 90.00°, β = 90.00° and γ = 120.00°. The asymmetric unit holds Zr at (0.3333, 0.6667, 0.1165), As at (0.0000, 0.0000, 0.0000) and As at (0.3333, 0.6667, 0.7500).

First-principles (r²SCAN) data for crystalline LaYIn6 at its relaxed geometry, as listed in Materials Project.

As for the total energy: -190.0 eV per cell. The calculation puts the formation energy at -12.9 kcal/mol of atoms.

It has space group P4/mmm (No. 123), with a = 4.713 Å, b = 4.713 Å, c = 9.337 Å, α = 90.00°, β = 90.00° and γ = 90.00°. The asymmetric unit holds La at (0.000, 0.000, 0.000), Y at (0.000, 0.000, 0.500), In at (0.000, 0.500, 0.257), In at (0.500, 0.500, 0.000) and In at (0.500, 0.500, 0.500).

First-principles (r²SCAN) data for crystalline Y5Ir3 at its relaxed geometry, as listed in Materials Project.

As for the total energy: -1062.0 eV per cell. The calculation puts the formation energy at -19.8 kcal/mol of atoms.

It has space group P4/ncc (No. 130, origin choice 2), with a = 10.880 Å, b = 10.880 Å, c = 6.390 Å, α = 90.00°, β = 90.00° and γ = 90.00°. The asymmetric unit holds Y at (0.042, 0.162, 0.116), Y at (0.250, 0.750, 0.000), Ir at (0.097, 0.597, 0.750) and Ir at (0.250, 0.250, 0.370).

First-principles (r²SCAN) data for crystalline UBC at its relaxed geometry, as listed in Materials Project.

As for the total energy: -395.5 eV per cell. The calculation puts the formation energy at -12.6 kcal/mol of atoms.

It has space group Cmcm (No. 63), with a = 3.650 Å, b = 11.996 Å, c = 3.312 Å, α = 90.00°, β = 90.00° and γ = 90.00°. The asymmetric unit holds U at (0.000, 0.138, 0.250), B at (0.000, 0.465, 0.250) and C at (0.000, 0.334, 0.250).

First-principles (r²SCAN) data for crystalline CaFe4Sb12 at its relaxed geometry, as listed in Materials Project.

As for the total energy: -748.6 eV per cell. The calculation puts the formation energy at -1.6 kcal/mol of atoms.

It has space group Im-3 (No. 204), with a = 9.159 Å, b = 9.159 Å, c = 9.159 Å, α = 90.00°, β = 90.00° and γ = 90.00°. The asymmetric unit holds Ca at (0.000, 0.000, 0.000), Fe at (0.250, 0.250, 0.250) and Sb at (0.000, 0.161, 0.335).

First-principles (r²SCAN) data for crystalline SrB2F8 at its relaxed geometry, as listed in Materials Project.

As for the total energy: -740.7 eV per cell. The calculation puts the formation energy at -79.1 kcal/mol of atoms.

It has space group Pbca (No. 61), with a = 9.161 Å, b = 13.690 Å, c = 9.585 Å, α = 90.00°, β = 90.00° and γ = 90.00°. The asymmetric unit holds Sr at (0.221, 0.105, 0.036), B at (0.006, 0.062, 0.723), B at (0.184, 0.656, 0.398), F at (0.032, 0.662, 0.418), F at (0.072, 0.621, 0.871), F at (0.077, 0.513, 0.150), F at (0.091, 0.521, 0.679), F at (0.108, 0.119, 0.796), F at (0.219, 0.684, 0.261), F at (0.229, 0.558, 0.419) and F at (0.246, 0.217, 0.493).

First-principles (r²SCAN) data for crystalline Ni2RhS4 at its relaxed geometry, as listed in Materials Project.

As for the total energy: -335.6 eV per cell. The calculation puts the formation energy at -12.1 kcal/mol of atoms.

It has space group Imma (No. 74), with a = 6.713 Å, b = 6.775 Å, c = 9.532 Å, α = 90.00°, β = 90.00° and γ = 90.00°. The asymmetric unit holds Ni at (0.000, 0.250, 0.125), Ni at (0.250, 0.250, 0.750), Rh at (0.000, 0.000, 0.500), S at (0.000, 0.016, 0.747) and S at (0.241, 0.250, 0.511).

First-principles (r²SCAN) data for crystalline LiAc2Ga at its relaxed geometry, as listed in Materials Project.

As for the total energy: -608.6 eV per cell. The calculation puts the formation energy at -6.0 kcal/mol of atoms.

It has space group Fm-3m (No. 225), with a = 7.929 Å, b = 7.929 Å, c = 7.929 Å, α = 90.00°, β = 90.00° and γ = 90.00°. The asymmetric unit holds Li at (0.000, 0.000, 0.000), Ac at (0.250, 0.250, 0.250) and Ga at (0.000, 0.000, 0.500).

First-principles (r²SCAN) data for crystalline Mn3W3C at its relaxed geometry, as listed in Materials Project.

As for the total energy: -3333.0 eV per cell. The calculation puts the formation energy at -0.7 kcal/mol of atoms.

It has space group Fd-3m (No. 227, origin choice 2), with a = 11.276 Å, b = 11.276 Å, c = 11.276 Å, α = 90.00°, β = 90.00° and γ = 90.00°. The asymmetric unit holds Mn at (0.000, 0.000, 0.000), Mn at (0.042, 0.042, 0.208), W at (0.065, 0.375, 0.875) and C at (0.000, 0.000, 0.500).

First-principles (r²SCAN) data for crystalline Eu2ZnAg at its relaxed geometry, as listed in Materials Project.

As for the total energy: -433.4 eV per cell. The calculation puts the formation energy at -5.9 kcal/mol of atoms.

It has space group Fm-3m (No. 225), with a = 7.537 Å, b = 7.537 Å, c = 7.537 Å, α = 90.00°, β = 90.00° and γ = 90.00°. The asymmetric unit holds Eu at (0.250, 0.250, 0.250), Zn at (0.000, 0.000, 0.000) and Ag at (0.000, 0.000, 0.500).